# 1
A relaxed BaAl2Se4 crystal. Source: Materials Project, functional meta-GGA r2SCAN.

Structure (extended XYZ):
```
14
Lattice="3.1032 -5.7499 0.0000 3.1032 5.7499 0.0000 0.0000 0.0000 11.5512" Properties=species:S:1:pos:R:3 pbc="T T T"
Ba 0.0000 0.0000 2.8878
Ba 0.0000 0.0000 8.6634
Al 3.1005 2.7976 5.7756
Al 3.1058 2.7976 0.0000
Al 3.1005 -2.7976 0.0000
Al 3.1058 -2.7976 5.7756
Se 1.5516 2.8750 3.9444
Se 1.5516 2.8750 7.6068
Se 1.4874 1.0482 0.0000
Se 1.4874 -1.0482 5.7756
Se 1.5516 -2.8750 1.8312
Se 1.5516 -2.8750 9.7200
Se 4.7189 1.0482 5.7756
Se 4.7189 -1.0482 0.0000
```

Properties
Its symmetry is Cccm (66). The calculation puts the spin magnetization at 0.000 μB per cell. The total energy comes out at -15.402 eV per atom. As for the formation energy: -1.5144 eV per atom. The calculation puts the volume at 412.2 Å³ per cell.

=====

# 2
A relaxed BaErCuS3 crystal. Source: Materials Project, functional meta-GGA r2SCAN.

Structure (extended XYZ):
```
12
Lattice="1.9959 -6.7884 0.0000 1.9959 6.7884 0.0000 0.0000 0.0000 10.1398" Properties=species:S:1:pos:R:3 pbc="T T T"
Ba 1.9959 3.4751 7.6048
Ba 1.9959 -3.4751 2.5349
Er 1.9959 0.0000 0.0000
Er 1.9959 0.0000 5.0699
Cu 1.9959 6.3438 2.5349
Cu 1.9959 -6.3438 7.6048
S 1.9959 5.0276 0.6261
S 1.9959 5.0276 4.4438
S 1.9959 0.8715 2.5349
S 1.9959 -0.8715 7.6048
S 1.9959 -5.0276 5.6960
S 1.9959 -5.0276 9.5137
```

Properties
Its symmetry is Cmcm (63). The calculation puts the spin magnetization at 0.000 μB per cell. The total energy comes out at -17.844 eV per atom. As for the formation energy: -1.9487 eV per atom. The calculation puts the volume at 274.8 Å³ per cell.

=====

# 3
A relaxed MgAl2O4 crystal. Source: Materials Project, functional meta-GGA r2SCAN.

Structure (extended XYZ):
```
84
Lattice="5.7073 0.0000 0.0000 -2.8536 4.9426 0.0000 0.0000 0.0000 27.9988" Properties=species:S:1:pos:R:3 pbc="T T T"
Mg 0.0000 0.0000 0.0000
Mg 0.0000 0.0000 3.3734
Mg 0.0000 0.0000 8.6710
Mg 0.0000 0.0000 13.9346
Mg 0.0000 0.0000 17.4510
Mg 0.0000 3.2951 3.9817
Mg 0.0000 3.2951 12.7789
Mg 0.0000 3.2951 23.2872
Mg 0.0000 3.2951 26.7626
Mg 2.8536 1.6475 8.0583
Mg 2.8536 1.6475 18.6211
Mg 2.8536 1.6475 22.1225
Al 0.0000 0.0000 22.7086
Al -1.4241 2.4729 15.7038
Al -1.4038 2.4846 1.6859
Al 0.0000 1.6033 6.3626
Al -1.4651 4.1410 6.3626
Al 0.0000 1.6459 20.3694
Al -1.4282 4.1197 20.3694
Al 1.4274 0.8241 25.0413
Al 0.0000 3.2951 9.2970
Al 0.0000 3.2951 18.0410
Al 1.4474 0.8357 11.0409
Al 1.4038 2.4846 1.6859
Al 0.0000 4.9160 1.6859
Al 1.4241 2.4729 15.7038
Al 0.0000 4.9395 15.7038
Al 2.8536 1.6475 4.6781
Al 2.8536 1.6475 13.3878
Al 2.8536 1.6475 27.3724
Al 1.4282 4.1197 20.3694
Al 1.4651 4.1410 6.3626
Al 4.2599 0.8357 11.0409
Al 2.8536 3.2713 11.0409
Al 4.2799 0.8241 25.0413
Al 2.8536 3.2945 25.0413
O 0.0000 0.0000 5.3385
O 0.0000 0.0000 11.9472
O 0.0000 0.0000 19.3846
O 0.0000 0.0000 26.0230
O -1.3695 2.5044 5.3187
O -1.2700 2.5618 19.2548
O 0.0000 1.4656 23.9262
O -1.5844 4.2099 23.9262
O 0.0000 1.6173 9.9760
O -1.4530 4.1340 9.9760
O 0.0000 1.7757 2.6887
O -1.3158 4.0548 2.6887
O 0.0000 1.8271 16.7943
O -1.2713 4.0291 16.7943
O 1.2720 0.7344 21.4608
O 1.3073 0.7548 7.3920
O 0.0000 3.2951 0.6729
O 0.0000 3.2951 7.4634
O 0.0000 3.2951 14.7159
O 0.0000 3.2951 21.3363
O 1.5794 0.9119 14.5908
O 1.6054 0.9269 0.6051
O 1.2700 2.5618 19.2548
O 0.0000 4.7616 19.2548
O 1.3695 2.5044 5.3187
O 0.0000 4.8765 5.3187
O 2.8536 0.1813 26.1259
O 1.5838 2.3807 26.1259
O 2.8536 0.1895 12.1503
O 1.5909 2.3766 12.1503
O 1.2713 4.0291 16.7943
O 1.3158 4.0548 2.6887
O 2.8536 1.6475 2.8600
O 2.8536 1.6475 10.0448
O 2.8536 1.6475 16.6683
O 2.8536 1.6475 24.0524
O 1.4530 4.1340 9.9760
O 1.5844 4.2099 23.9262
O 4.1019 0.9269 0.6051
O 2.8536 3.0889 0.6051
O 4.1278 0.9119 14.5908
O 2.8536 3.1189 14.5908
O 4.4000 0.7548 7.3920
O 2.8536 3.4331 7.3920
O 4.4353 0.7344 21.4608
O 2.8536 3.4739 21.4608
O 4.1163 2.3766 12.1503
O 4.1234 2.3807 26.1259
```

Properties
The excess energy over the best structure of this formula in the dataset is 13 meV/atom. Its symmetry is P3m1 (156). The calculation puts the spin magnetization at 0.000 μB per cell. The total energy comes out at -9.210 eV per atom. As for the formation energy: -3.2784 eV per atom. The calculation puts the volume at 789.8 Å³ per cell.

=====

# 4
A relaxed YbPt2 crystal. Source: Materials Project, functional meta-GGA r2SCAN.

Structure (extended XYZ):
```
6
Lattice="0.0000 3.7900 3.7900 3.7900 0.0000 3.7900 3.7900 3.7900 0.0000" Properties=species:S:1:pos:R:3 pbc="T T T"
Yb 0.9475 0.9475 0.9475
Yb 6.6324 6.6324 6.6324
Pt 3.7900 1.8950 1.8950
Pt 1.8950 3.7900 1.8950
Pt 1.8950 1.8950 3.7900
Pt 3.7900 3.7900 3.7900
```

Properties
Its symmetry is Fd-3m (227). The calculation puts the spin magnetization at 0.000 μB per cell. The total energy comes out at -47.714 eV per atom. As for the formation energy: -1.2128 eV per atom. The calculation puts the volume at 108.9 Å³ per cell.

=====

# 5
A relaxed DyAgHg2 crystal. Source: Materials Project, functional meta-GGA r2SCAN.

Structure (extended XYZ):
```
4
Lattice="0.0000 3.5148 3.5148 3.5148 0.0000 3.5148 3.5148 3.5148 0.0000" Properties=species:S:1:pos:R:3 pbc="T T T"
Dy 0.0000 0.0000 0.0000
Ag 3.5148 3.5148 3.5148
Hg 1.7574 1.7574 1.7574
Hg 5.2722 5.2722 5.2722
```

Properties
Its symmetry is Fm-3m (225). The calculation puts the spin magnetization at 0.000 μB per cell. The total energy comes out at -38.407 eV per atom. As for the formation energy: -0.3888 eV per atom. The calculation puts the volume at 86.8 Å³ per cell.

=====

# 6
A relaxed ScSi2Ni2 crystal. Source: Materials Project, functional meta-GGA r2SCAN.

Structure (extended XYZ):
```
5
Lattice="-1.9027 1.9027 4.7451 1.9027 -1.9027 4.7451 1.9027 1.9027 -4.7451" Properties=species:S:1:pos:R:3 pbc="T T T"
Sc 0.0000 0.0000 0.0000
Si 0.0000 0.0000 3.5867
Si 0.0000 0.0000 5.9035
Ni 1.9027 0.0000 2.3726
Ni 0.0000 1.9027 2.3726
```

Properties
Its symmetry is I4/mmm (139). The calculation puts the spin magnetization at 0.000 μB per cell. The total energy comes out at -11.384 eV per atom. As for the formation energy: -0.8021 eV per atom. The calculation puts the volume at 68.7 Å³ per cell.

=====

# 7
A relaxed TeAuBr8 crystal. Source: Materials Project, functional meta-GGA r2SCAN.

Structure (extended XYZ):
```
20
Lattice="8.0268 0.0000 0.0000 1.0808 9.0076 0.0000 3.2247 0.1242 9.7827" Properties=species:S:1:pos:R:3 pbc="T T T"
Te 1.9785 2.3335 2.2173
Te 10.3537 6.7983 7.5653
Au 5.5684 8.0667 1.8342
Au 6.7638 1.0651 7.9485
Br 3.4217 7.3585 5.3734
Br 4.4975 6.2928 8.7201
Br 2.6319 4.6888 2.8253
Br 3.1631 8.3751 1.3693
Br 4.4304 1.4907 7.4006
Br 6.8214 3.0559 9.4011
Br 5.6448 3.7480 5.5558
Br 4.5866 1.0412 3.2842
Br 7.7456 8.0906 6.4985
Br 6.6874 5.3838 4.2268
Br 5.5109 6.0759 0.3816
Br 7.9018 7.6411 2.3821
Br 9.1691 0.7567 8.4134
Br 9.7003 4.4430 6.9574
Br 7.8347 2.8390 1.0626
Br 8.9105 1.7733 4.4093
```

Properties
Its symmetry is P-1 (2). The calculation puts the spin magnetization at 0.000 μB per cell. The total energy comes out at -18.504 eV per atom. As for the formation energy: -0.2968 eV per atom. The calculation puts the volume at 707.3 Å³ per cell.

=====

# 8
A relaxed LuF3 crystal. Source: Materials Project, functional meta-GGA r2SCAN.

Structure (extended XYZ):
```
4
Lattice="3.8159 0.0000 0.0000 -1.9079 3.3047 0.0000 0.0000 0.0000 4.2072" Properties=species:S:1:pos:R:3 pbc="T T T"
Lu 0.0000 0.0000 0.0000
F 0.0000 0.0000 2.1036
F 0.0000 2.2031 0.4627
F 1.9079 1.1016 3.7444
```

Properties
Its symmetry is P-3m1 (164). The calculation puts the spin magnetization at 0.000 μB per cell. The total energy comes out at -16.311 eV per atom. As for the formation energy: -4.4465 eV per atom. The calculation puts the volume at 53.1 Å³ per cell.

=====

> Which formula does entry 8 have?

LuF3

=====

> Look up the volume of the fifth one.

86.8 Å³ per cell

=====

> Which formula does entry 3 have?

MgAl2O4